# meta-GGA r2SCAN MgF2, relaxed
# DFT total energy = -7.298 eV/atom
# Calculated volume = 32 Å³/f.u.
# Formation energy from the elements = -3824 meV per atom
data_MgF2
_chemical_formula_sum 'Mg2 F4'
_cell_length_a 4.6152
_cell_length_b 4.6152
_cell_length_c 3.0478
_cell_angle_alpha 90.00
_cell_angle_beta 90.00
_cell_angle_gamma 90.00
_space_group_name_H-M_alt 'P 42/m n m'
_space_group_IT_number 136
_space_group_name_Hall '-P 4n 2n'
loop_
_atom_site_label
_atom_site_fract_x
_atom_site_fract_y
_atom_site_fract_z
_atom_site_occupancy
Mg1 0.0000 0.0000 0.0000 1
F1 0.1971 0.1971 0.5000 1